Record 1
This record from Materials Project describes CaY2GeO6 after structural relaxation. The functional is r2SCAN.

Cell: 7.8889 7.8889 7.8889 Å, 90.00 90.00 90.00°
Space group Fm-3m (No. 225)
One atom of each set of equivalent atoms:
Ca 0.0000 0.0000 0.0000 [4 per cell]
Y 0.2500 0.2500 0.2500 [8 per cell]
Ge 0.0000 0.0000 0.5000 [4 per cell]
O 0.0000 0.0000 0.2675 [24 per cell]

DFT formation energy	-2724	meV/atom

---

Record 2
This record from Materials Project describes CaGe2Pd2 after structural relaxation. The functional is r2SCAN.

Cell: 4.3092 4.3092 10.1121 Å, 90.00 90.00 90.00°
Space group I4/mmm (No. 139)
One atom of each set of equivalent atoms:
Ca 0.0000 0.0000 0.0000 [2 per cell]
Ge 0.0000 0.0000 0.3762 [4 per cell]
Pd 0.0000 0.5000 0.2500 [4 per cell]

DFT formation energy	-734	meV/atom

---

Record 3
This record from Materials Project describes Ca2GePt2 after structural relaxation. The functional is r2SCAN.

Cell: 9.6662 5.6283 7.9409 Å, 90.00 101.93 90.00°
Space group C2/c (No. 15)
One atom of each set of equivalent atoms:
Ca 0.1524 0.1317 0.1534 [8 per cell]
Ge 0.0000 0.3793 0.7500 [4 per cell]
Pt 0.1278 0.3681 0.5002 [8 per cell]

DFT formation energy	-1041	meV/atom

---

Record 4
This record from Materials Project describes CaGePt after structural relaxation. The functional is r2SCAN.

Cell: 7.1916 4.4191 7.4138 Å, 90.00 90.00 90.00°
Space group Pnma (No. 62)
One atom of each set of equivalent atoms:
Ca 0.0068 0.2500 0.1957 [4 per cell]
Ge 0.1802 0.2500 0.5828 [4 per cell]
Pt 0.1974 0.7500 0.4068 [4 per cell]

DFT formation energy	-984	meV/atom

---

Record 5
This record from Materials Project describes CaGe2Ru2 after structural relaxation. The functional is r2SCAN.

Cell: 4.2612 4.2612 9.9688 Å, 90.00 90.00 90.00°
Space group I4/mmm (No. 139)
One atom of each set of equivalent atoms:
Ca 0.0000 0.0000 0.0000 [2 per cell]
Ge 0.0000 0.0000 0.3663 [4 per cell]
Ru 0.0000 0.5000 0.2500 [4 per cell]

DFT formation energy	-563	meV/atom

---

Record 6
This record from Materials Project describes SrCaGe after structural relaxation. The functional is r2SCAN.

Cell: 8.1111 4.9605 9.1243 Å, 90.00 90.00 90.00°
Space group Pnma (No. 62)
One atom of each set of equivalent atoms:
Sr 0.0206 0.2500 0.1795 [4 per cell]
Ca 0.1483 0.2500 0.5750 [4 per cell]
Ge 0.2326 0.7500 0.3959 [4 per cell]

DFT formation energy	-708	meV/atom